Below is crystalline CdH2SO5 at its relaxed geometry, with properties calculated at the PBE-GGA level.

Cell lengths 7.7275, 7.5299, 8.4880 Å; angles 90.00, 121.81, 90.00 degrees
Last column: nearest neighbours and their distance in Å.
Sites, in units of the cell vectors:
Cd (0.2224, 0.2384, 0.4628)  6 O 2.29-2.47
Cd (0.2224, 0.2616, 0.9628)  6 O 2.29-2.47
Cd (0.7776, 0.7384, 0.0372)  6 O 2.29-2.47
Cd (0.7776, 0.7616, 0.5372)  6 O 2.29-2.47
H (0.2053, 0.5176, 0.6966)  1 O 1.00
H (0.2053, 0.9824, 0.1966)  1 O 1.00
H (0.4234, 0.0726, 0.2991)  1 O 1.00
H (0.4234, 0.4274, 0.7991)  1 O 1.00
H (0.5766, 0.5726, 0.2009)  1 O 1.00
H (0.5766, 0.9274, 0.7009)  1 O 1.00
H (0.7947, 0.0176, 0.8034)  1 O 1.00
H (0.7947, 0.4824, 0.3034)  1 O 1.00
S (0.2580, 0.6164, 0.2447)  4 O 1.47-1.51
S (0.2580, 0.8836, 0.7447)  4 O 1.47-1.51
S (0.7420, 0.1164, 0.2553)  4 O 1.47-1.51
S (0.7420, 0.3836, 0.7553)  4 O 1.47-1.51
O (0.1128, 0.7404, 0.6225)  1 S 1.51
O (0.1128, 0.7596, 0.1225)  1 S 1.51
O (0.1428, 0.0030, 0.7964)  1 S 1.49
O (0.1428, 0.4970, 0.2964)  1 S 1.49
O (0.2750, 0.1001, 0.2382)  2 H 1.00
O (0.2750, 0.3999, 0.7382)  2 H 1.00
O (0.3317, 0.5145, 0.1382)  1 S 1.51
O (0.3317, 0.9855, 0.6382)  1 S 1.51
O (0.4344, 0.6992, 0.4068)  1 S 1.47
O (0.4344, 0.8008, 0.9068)  1 S 1.47
O (0.5656, 0.1992, 0.0932)  1 S 1.47
O (0.5656, 0.3008, 0.5932)  1 S 1.47
O (0.6683, 0.0145, 0.3618)  1 S 1.51
O (0.6683, 0.4855, 0.8618)  1 S 1.51
O (0.7250, 0.6001, 0.2618)  2 H 1.00
O (0.7250, 0.8999, 0.7618)  2 H 1.00
O (0.8572, 0.5030, 0.7036)  1 S 1.49
O (0.8572, 0.9970, 0.2036)  1 S 1.49
O (0.8872, 0.2404, 0.8775)  1 S 1.51
O (0.8872, 0.2596, 0.3775)  1 S 1.51

Values from the calculation:
Magnetic moment = 0.00 μB per cell
Density = 3.584 g/cm3
E_form = -38.2 kcal/mol of atoms